No. 1
The following is a DFT calculation (PBE+U) of crystalline CoH9C4NO6 at its relaxed geometry.

abc: 8.469 11.811 8.195
angles: 90.00 90.00 90.00
Sites, in units of the cell vectors:
Co (0.000, 0.000, 0.000)
Co (0.000, 0.500, 0.000)
Co (0.500, 0.000, 0.500)
Co (0.500, 0.500, 0.500)
H (0.012, 0.250, 0.077)
H (0.086, 0.250, 0.347)
H (0.090, 0.750, 0.341)
H (0.138, 0.174, 0.529)
H (0.138, 0.326, 0.529)
H (0.148, 0.679, 0.512)
H (0.148, 0.821, 0.512)
H (0.224, 0.544, 0.277)
H (0.224, 0.956, 0.277)
H (0.276, 0.044, 0.777)
H (0.276, 0.456, 0.777)
H (0.352, 0.179, 0.012)
H (0.352, 0.321, 0.012)
H (0.362, 0.674, 0.029)
H (0.362, 0.826, 0.029)
H (0.410, 0.250, 0.841)
H (0.414, 0.750, 0.847)
H (0.488, 0.750, 0.577)
H (0.512, 0.250, 0.423)
H (0.586, 0.250, 0.153)
H (0.590, 0.750, 0.159)
H (0.638, 0.174, 0.971)
H (0.638, 0.326, 0.971)
H (0.648, 0.679, 0.988)
H (0.648, 0.821, 0.988)
H (0.724, 0.544, 0.223)
H (0.724, 0.956, 0.223)
H (0.776, 0.044, 0.723)
H (0.776, 0.456, 0.723)
H (0.852, 0.179, 0.488)
H (0.852, 0.321, 0.488)
H (0.862, 0.674, 0.471)
H (0.862, 0.826, 0.471)
H (0.910, 0.250, 0.659)
H (0.914, 0.750, 0.653)
H (0.988, 0.750, 0.923)
C (0.014, 0.750, 0.055)
C (0.081, 0.250, 0.480)
C (0.216, 0.528, 0.717)
C (0.216, 0.972, 0.717)
C (0.284, 0.028, 0.217)
C (0.284, 0.472, 0.217)
C (0.419, 0.750, 0.980)
C (0.486, 0.250, 0.555)
C (0.514, 0.750, 0.445)
C (0.581, 0.250, 0.020)
C (0.716, 0.528, 0.783)
C (0.716, 0.972, 0.783)
C (0.784, 0.028, 0.283)
C (0.784, 0.472, 0.283)
C (0.919, 0.750, 0.520)
C (0.986, 0.250, 0.945)
N (0.087, 0.750, 0.468)
N (0.413, 0.250, 0.968)
N (0.587, 0.750, 0.032)
N (0.913, 0.250, 0.532)
O (0.029, 0.655, 0.128)
O (0.029, 0.845, 0.128)
O (0.095, 0.571, 0.785)
O (0.095, 0.929, 0.785)
O (0.226, 0.063, 0.083)
O (0.226, 0.437, 0.083)
O (0.274, 0.563, 0.583)
O (0.274, 0.937, 0.583)
O (0.405, 0.071, 0.285)
O (0.405, 0.429, 0.285)
O (0.471, 0.155, 0.628)
O (0.471, 0.345, 0.628)
O (0.529, 0.655, 0.372)
O (0.529, 0.845, 0.372)
O (0.595, 0.571, 0.715)
O (0.595, 0.929, 0.715)
O (0.726, 0.063, 0.417)
O (0.726, 0.437, 0.417)
O (0.774, 0.563, 0.917)
O (0.774, 0.937, 0.917)
O (0.905, 0.071, 0.215)
O (0.905, 0.429, 0.215)
O (0.971, 0.155, 0.872)
O (0.971, 0.345, 0.872)

Results
- space group = Pnma

***

No. 2
The following is a DFT calculation (PBE+U) of crystalline CoH7C4N2O6 at its relaxed geometry.

abc: 9.536 12.061 9.040
angles: 90.00 90.00 90.00
Sites, in units of the cell vectors:
Co (0.248, 0.250, 0.250)
Co (0.252, 0.750, 0.250)
Co (0.748, 0.250, 0.750)
Co (0.752, 0.750, 0.750)
H (0.025, 0.614, 0.134)
H (0.025, 0.886, 0.366)
H (0.081, 0.735, 0.620)
H (0.081, 0.765, 0.880)
H (0.187, 0.655, 0.057)
H (0.187, 0.845, 0.443)
H (0.250, 0.000, 0.336)
H (0.250, 0.500, 0.164)
H (0.313, 0.155, 0.443)
H (0.313, 0.345, 0.057)
H (0.419, 0.235, 0.880)
H (0.419, 0.265, 0.620)
H (0.475, 0.114, 0.366)
H (0.475, 0.386, 0.134)
H (0.525, 0.614, 0.866)
H (0.525, 0.886, 0.634)
H (0.581, 0.735, 0.380)
H (0.581, 0.765, 0.120)
H (0.687, 0.655, 0.943)
H (0.687, 0.845, 0.557)
H (0.750, 0.000, 0.664)
H (0.750, 0.500, 0.836)
H (0.813, 0.155, 0.557)
H (0.813, 0.345, 0.943)
H (0.919, 0.235, 0.120)
H (0.919, 0.265, 0.380)
H (0.975, 0.114, 0.634)
H (0.975, 0.386, 0.866)
C (0.012, 0.714, 0.951)
C (0.012, 0.786, 0.549)
C (0.250, 0.000, 0.212)
C (0.250, 0.000, 0.816)
C (0.250, 0.500, 0.288)
C (0.250, 0.500, 0.684)
C (0.488, 0.214, 0.549)
C (0.488, 0.286, 0.951)
C (0.512, 0.714, 0.049)
C (0.512, 0.786, 0.451)
C (0.750, 0.000, 0.184)
C (0.750, 0.000, 0.788)
C (0.750, 0.500, 0.316)
C (0.750, 0.500, 0.712)
C (0.988, 0.214, 0.451)
C (0.988, 0.286, 0.049)
N (0.080, 0.662, 0.061)
N (0.080, 0.838, 0.439)
N (0.420, 0.162, 0.439)
N (0.420, 0.338, 0.061)
N (0.580, 0.662, 0.939)
N (0.580, 0.838, 0.561)
N (0.920, 0.162, 0.561)
N (0.920, 0.338, 0.939)
O (0.117, 0.207, 0.430)
O (0.117, 0.293, 0.070)
O (0.155, 0.063, 0.812)
O (0.155, 0.437, 0.688)
O (0.228, 0.592, 0.350)
O (0.228, 0.908, 0.150)
O (0.272, 0.092, 0.150)
O (0.272, 0.408, 0.350)
O (0.345, 0.563, 0.688)
O (0.345, 0.937, 0.812)
O (0.383, 0.707, 0.070)
O (0.383, 0.793, 0.430)
O (0.617, 0.207, 0.570)
O (0.617, 0.293, 0.930)
O (0.655, 0.063, 0.188)
O (0.655, 0.437, 0.312)
O (0.728, 0.592, 0.650)
O (0.728, 0.908, 0.850)
O (0.772, 0.092, 0.850)
O (0.772, 0.408, 0.650)
O (0.845, 0.563, 0.312)
O (0.845, 0.937, 0.188)
O (0.883, 0.707, 0.930)
O (0.883, 0.793, 0.570)

Results
- space group = Pnna

***

No. 3
The following is a DFT calculation (PBE+U) of crystalline CoH7C3NO6 at its relaxed geometry.

abc: 12.726 12.726 8.332
angles: 90.00 90.00 120.00
Sites, in units of the cell vectors:
Co (0.004, 0.336, 0.000)
Co (0.332, 0.996, 0.000)
Co (0.336, 0.332, 0.500)
Co (0.664, 0.668, 0.000)
Co (0.668, 0.004, 0.500)
Co (0.996, 0.664, 0.500)
H (0.000, 0.000, 0.420)
H (0.000, 0.000, 0.920)
H (0.027, 0.088, 0.083)
H (0.057, 0.511, 0.720)
H (0.061, 0.973, 0.083)
H (0.088, 0.061, 0.583)
H (0.133, 0.274, 0.739)
H (0.141, 0.867, 0.739)
H (0.176, 0.389, 0.285)
H (0.213, 0.824, 0.285)
H (0.245, 0.640, 0.410)
H (0.271, 0.579, 0.910)
H (0.274, 0.141, 0.239)
H (0.307, 0.729, 0.910)
H (0.333, 0.667, 0.071)
H (0.333, 0.667, 0.572)
H (0.360, 0.605, 0.410)
H (0.389, 0.213, 0.785)
H (0.395, 0.755, 0.410)
H (0.421, 0.693, 0.910)
H (0.454, 0.943, 0.720)
H (0.489, 0.546, 0.720)
H (0.511, 0.454, 0.220)
H (0.546, 0.057, 0.220)
H (0.579, 0.307, 0.410)
H (0.605, 0.245, 0.910)
H (0.611, 0.787, 0.285)
H (0.640, 0.395, 0.910)
H (0.667, 0.333, 0.072)
H (0.667, 0.333, 0.571)
H (0.693, 0.271, 0.410)
H (0.726, 0.859, 0.739)
H (0.729, 0.421, 0.410)
H (0.755, 0.360, 0.910)
H (0.787, 0.176, 0.785)
H (0.824, 0.611, 0.785)
H (0.859, 0.133, 0.239)
H (0.867, 0.726, 0.239)
H (0.912, 0.939, 0.083)
H (0.939, 0.027, 0.583)
H (0.943, 0.489, 0.220)
H (0.973, 0.912, 0.583)
C (0.041, 0.526, 0.238)
C (0.143, 0.292, 0.263)
C (0.149, 0.857, 0.263)
C (0.185, 0.811, 0.746)
C (0.189, 0.374, 0.746)
C (0.292, 0.149, 0.763)
C (0.374, 0.185, 0.246)
C (0.474, 0.515, 0.238)
C (0.485, 0.959, 0.238)
C (0.515, 0.041, 0.738)
C (0.526, 0.485, 0.738)
C (0.626, 0.815, 0.746)
C (0.708, 0.851, 0.263)
C (0.811, 0.626, 0.246)
C (0.815, 0.189, 0.246)
C (0.851, 0.143, 0.763)
C (0.857, 0.708, 0.763)
C (0.959, 0.474, 0.738)
N (0.000, 0.000, 0.043)
N (0.000, 0.000, 0.543)
N (0.333, 0.667, 0.449)
N (0.333, 0.667, 0.949)
N (0.667, 0.333, 0.449)
N (0.667, 0.333, 0.949)
O (0.058, 0.822, 0.355)
O (0.070, 0.242, 0.146)
O (0.092, 0.601, 0.354)
O (0.097, 0.492, 0.146)
O (0.153, 0.724, 0.647)
O (0.162, 0.427, 0.855)
O (0.172, 0.930, 0.146)
O (0.178, 0.236, 0.355)
O (0.236, 0.058, 0.855)
O (0.242, 0.172, 0.646)
O (0.265, 0.838, 0.855)
O (0.276, 0.428, 0.647)
O (0.395, 0.903, 0.146)
O (0.399, 0.491, 0.354)
O (0.427, 0.265, 0.355)
O (0.428, 0.153, 0.147)
O (0.491, 0.092, 0.854)
O (0.492, 0.395, 0.646)
O (0.508, 0.605, 0.146)
O (0.509, 0.908, 0.354)
O (0.572, 0.847, 0.647)
O (0.573, 0.735, 0.855)
O (0.601, 0.509, 0.854)
O (0.605, 0.097, 0.646)
O (0.724, 0.572, 0.147)
O (0.735, 0.162, 0.355)
O (0.758, 0.828, 0.146)
O (0.764, 0.942, 0.355)
O (0.822, 0.764, 0.855)
O (0.828, 0.070, 0.646)
O (0.838, 0.573, 0.355)
O (0.847, 0.276, 0.147)
O (0.903, 0.508, 0.646)
O (0.908, 0.399, 0.854)
O (0.930, 0.758, 0.646)
O (0.942, 0.178, 0.855)

Results
- relative energy among the computed polymorphs (meV/atom) = 0
- space group = P6_3

***

No. 4
The following is a DFT calculation (PBE+U) of crystalline CoH14C10N8O2 at its relaxed geometry.

abc: 7.820 7.820 8.279
angles: 110.33 110.33 56.69
Sites, in units of the cell vectors:
Co (0.000, 0.000, 0.000)
H (0.017, 0.256, 0.626)
H (0.230, 0.230, 0.267)
H (0.247, 0.247, 0.778)
H (0.256, 0.017, 0.626)
H (0.265, 0.505, 0.677)
H (0.382, 0.382, 0.486)
H (0.495, 0.735, 0.323)
H (0.505, 0.265, 0.677)
H (0.618, 0.618, 0.514)
H (0.735, 0.495, 0.323)
H (0.744, 0.983, 0.374)
H (0.753, 0.753, 0.222)
H (0.770, 0.770, 0.733)
H (0.983, 0.744, 0.374)
C (0.183, 0.183, 0.348)
C (0.186, 0.186, 0.644)
C (0.234, 0.540, 0.081)
C (0.354, 0.354, 0.595)
C (0.460, 0.766, 0.919)
C (0.540, 0.234, 0.081)
C (0.646, 0.646, 0.405)
C (0.766, 0.460, 0.919)
C (0.814, 0.814, 0.356)
C (0.817, 0.817, 0.652)
N (0.106, 0.698, 0.034)
N (0.239, 0.239, 0.522)
N (0.302, 0.894, 0.966)
N (0.368, 0.368, 0.140)
N (0.632, 0.632, 0.860)
N (0.698, 0.106, 0.034)
N (0.761, 0.761, 0.478)
N (0.894, 0.302, 0.966)
O (0.083, 0.083, 0.280)
O (0.917, 0.917, 0.720)

Results
- space group = C2/m

***

No. 5
The following is a DFT calculation (PBE+U) of crystalline Co3H18C8N6O8 at its relaxed geometry.

abc: 8.465 8.524 8.553
angles: 70.18 69.97 70.47
Sites, in units of the cell vectors:
Co (0.000, 0.000, 0.000)
Co (0.376, 0.376, 0.376)
Co (0.624, 0.624, 0.624)
H (0.050, 0.712, 0.883)
H (0.072, 0.095, 0.638)
H (0.094, 0.638, 0.071)
H (0.100, 0.762, 0.293)
H (0.118, 0.949, 0.287)
H (0.239, 0.707, 0.899)
H (0.288, 0.118, 0.948)
H (0.293, 0.101, 0.762)
H (0.362, 0.930, 0.905)
H (0.638, 0.070, 0.095)
H (0.707, 0.899, 0.238)
H (0.712, 0.882, 0.052)
H (0.761, 0.293, 0.101)
H (0.882, 0.051, 0.713)
H (0.900, 0.238, 0.707)
H (0.906, 0.362, 0.929)
H (0.928, 0.905, 0.362)
H (0.950, 0.288, 0.117)
C (0.232, 0.438, 0.558)
C (0.284, 0.284, 0.285)
C (0.439, 0.558, 0.233)
C (0.442, 0.767, 0.561)
C (0.558, 0.233, 0.439)
C (0.561, 0.442, 0.767)
C (0.716, 0.716, 0.715)
C (0.768, 0.562, 0.442)
N (0.041, 0.891, 0.267)
N (0.109, 0.733, 0.959)
N (0.267, 0.042, 0.891)
N (0.733, 0.958, 0.109)
N (0.891, 0.267, 0.041)
N (0.959, 0.109, 0.733)
O (0.141, 0.480, 0.684)
O (0.223, 0.223, 0.223)
O (0.316, 0.860, 0.520)
O (0.480, 0.684, 0.140)
O (0.520, 0.316, 0.860)
O (0.684, 0.140, 0.480)
O (0.777, 0.777, 0.777)
O (0.859, 0.520, 0.316)

Results
- space group = P-1

***

No. 6
The following is a DFT calculation (PBE+U) of crystalline CoH7C3NO6 at its relaxed geometry.

abc: 7.460 7.460 8.205
angles: 91.23 91.23 59.20
Sites, in units of the cell vectors:
Co (0.167, 0.167, 0.250)
Co (0.833, 0.833, 0.750)
H (0.087, 0.913, 0.500)
H (0.089, 0.502, 0.001)
H (0.390, 0.582, 0.655)
H (0.394, 0.527, 0.845)
H (0.418, 0.610, 0.345)
H (0.432, 0.417, 0.219)
H (0.473, 0.606, 0.155)
H (0.497, 0.093, 0.499)
H (0.498, 0.911, 0.999)
H (0.583, 0.568, 0.781)
H (0.585, 0.348, 0.719)
H (0.652, 0.415, 0.281)
H (0.907, 0.503, 0.501)
H (0.909, 0.091, 0.000)
C (0.057, 0.501, 0.501)
C (0.059, 0.941, 0.000)
C (0.499, 0.943, 0.499)
C (0.501, 0.058, 0.002)
C (0.937, 0.063, 0.500)
C (0.942, 0.499, 0.998)
N (0.491, 0.505, 0.750)
N (0.495, 0.509, 0.250)
O (0.082, 0.614, 0.605)
O (0.084, 0.802, 0.895)
O (0.192, 0.386, 0.396)
O (0.198, 0.916, 0.105)
O (0.386, 0.918, 0.395)
O (0.391, 0.195, 0.109)
O (0.612, 0.079, 0.898)
O (0.614, 0.808, 0.604)
O (0.804, 0.089, 0.606)
O (0.805, 0.609, 0.891)
O (0.911, 0.196, 0.394)
O (0.921, 0.388, 0.102)

Results
- relative energy among the computed polymorphs (meV/atom) = 68
- space group = C2

***

Electronic total energy, record by record: -5.9645, -6.2328, -6.1018, -6.4386, -6.0173, -6.0338 eV/atom
Energy of formation from the pure elements, record by record: -0.878, -0.814, -1.057, -0.139, -0.543, -0.989 eV per atom